No. 1
5
Lattice="-4.431 0.405 0.135 -0.254 -3.626 2.571 0.344 2.551 3.632" Properties=species:S:1:pos:R:3 comment="GGA-PBE BaTbO3, relaxed" final_energy_ev_per_atom=-6.963 ef_ev_per_atom=-3.095 crystal_system=cubic space_group="Pm-3m, No. 221" pbc="T T T"
Ba -2.170 -0.334 3.169
Tb 0.000 0.000 0.000
O 0.172 1.276 1.816
O -2.216 0.203 0.067
O -0.127 -1.813 1.285

No. 2
18
Lattice="1.483 1.603 -3.704 5.470 0.693 4.986 0.638 -7.763 -3.105" Properties=species:S:1:pos:R:3 comment="GGA-PBE Pr2SO6, relaxed" final_energy_ev_per_atom=-7.480 ef_ev_per_atom=-3.117 crystal_system=monoclinic space_group="C2/c, No. 15" pbc="T T T"
Pr 3.217 -3.229 -2.634
Pr 4.374 -2.238 0.811
Pr 4.710 -6.101 -0.783
Pr 2.881 0.634 -1.039
S 1.869 -4.319 -5.801
S 0.252 -1.840 -1.008
O 4.461 -5.223 -3.040
O 3.131 -0.244 1.217
O 3.491 -4.081 -0.438
O 4.101 -1.386 -1.385
O 6.911 -2.830 0.381
O 0.680 -2.637 -2.203
O 1.689 -5.772 -5.480
O 5.902 0.305 3.657
O 1.819 -5.660 -2.373
O 5.772 0.193 0.551
O 4.995 -4.873 1.736
O 2.596 -0.594 -3.558

No. 3
18
Lattice="7.054 0.000 0.000 1.034 9.092 0.000 2.496 0.668 10.616" Properties=species:S:1:pos:R:3 comment="GGA-PBE FeTeBr7, relaxed" final_energy_ev_per_atom=-2.994 piezo_max_c_m2=0.45 ef_ev_per_atom=-0.846 crystal_system=triclinic space_group="P1, No. 1" pbc="T T T"
Fe 3.945 1.215 1.306
Fe 7.312 5.437 5.880
Te 7.469 4.594 0.922
Te 3.699 8.845 5.721
Br 6.215 1.717 0.750
Br 2.905 3.139 2.218
Br 5.055 8.559 2.941
Br 5.357 1.070 10.056
Br 1.612 6.787 1.339
Br 3.964 4.821 9.291
Br 5.353 5.638 0.021
Br 2.550 5.916 5.432
Br 6.261 7.328 6.862
Br 6.223 4.777 3.869
Br 7.172 3.700 7.390
Br 3.929 1.928 5.986
Br 9.813 8.903 8.068
Br 7.674 0.681 4.568

No. 4
54
Lattice="-5.124 1.002 -1.706 1.125 -4.620 2.750 -5.645 13.407 24.833" Properties=species:S:1:pos:R:3 comment="GGA-PBE Li2IO6, relaxed" final_energy_ev_per_atom=-4.375 ef_ev_per_atom=-0.941 crystal_system=hexagonal space_group="P6_1, No. 169" pbc="T T T"
Li -6.598 10.936 25.904
Li -4.428 6.057 17.913
Li -5.852 5.520 12.321
Li -3.113 1.528 9.539
Li -4.259 1.461 3.756
Li -7.456 10.458 20.408
Li -8.668 12.772 24.362
Li -6.502 7.900 16.365
Li -3.755 3.619 13.742
Li -5.177 3.372 7.993
Li -2.157 -0.448 5.183
Li -5.364 8.549 21.833
I -8.402 7.664 21.593
I -2.793 6.355 12.456
I -2.130 4.235 8.192
I -0.067 -2.333 6.648
I -9.620 10.013 25.607
I -8.583 9.763 14.859
O -9.289 11.427 20.505
O -4.513 7.014 12.855
O -1.631 1.393 10.986
O -4.291 0.248 5.440
O -2.643 -3.132 2.080
O -4.747 8.103 17.773
O -7.486 9.236 22.098
O -7.695 6.492 12.414
O -3.433 3.584 9.393
O -2.912 2.961 4.289
O 0.538 -2.610 2.522
O -6.126 5.390 18.925
O -5.882 4.307 14.015
O -0.975 1.431 5.565
O -1.277 -0.417 0.935
O -4.991 7.341 23.698
O -8.066 6.927 17.663
O -5.932 5.487 7.808
O -6.027 5.677 16.506
O -1.713 2.399 8.138
O -2.237 0.837 3.303
O -5.765 8.939 25.922
O -8.433 8.583 19.949
O -6.262 6.512 10.442
O -6.746 6.823 21.276
O -3.830 4.901 11.858
O -3.397 4.154 6.801
O -0.103 -1.421 5.000
O -8.195 10.545 24.496
O -8.159 7.929 14.799
O -5.207 11.797 24.516
O -3.605 4.075 17.931
O -6.823 3.662 11.863
O -4.697 1.154 8.141
O -4.662 2.446 1.893
O -5.452 9.836 19.960

No. 5
84
Lattice="4.781 0.000 0.000 0.000 14.038 0.000 0.000 3.098 20.279" Properties=species:S:1:pos:R:3 comment="GGA-PBE Ba3Si5O13, relaxed" final_energy_ev_per_atom=-7.572 ef_ev_per_atom=-3.369 crystal_system=monoclinic space_group="P2_1/c, No. 14" pbc="T T T"
Ba 1.185 7.943 12.013
Ba 3.576 2.174 8.265
Ba 3.596 9.193 8.265
Ba 1.205 14.962 12.013
Ba 3.370 6.517 15.697
Ba 0.980 3.600 4.582
Ba 1.411 10.619 4.582
Ba 3.801 13.536 15.697
Ba 1.315 5.134 19.244
Ba 3.705 4.983 1.035
Ba 3.466 12.002 1.035
Ba 1.076 12.153 19.244
Si 0.850 4.163 10.481
Si 3.241 5.955 9.798
Si 3.931 12.974 9.798
Si 1.540 11.182 10.481
Si 0.847 4.414 13.670
Si 3.237 5.704 6.608
Si 3.934 12.723 6.608
Si 1.544 11.433 13.670
Si 3.259 2.753 14.478
Si 0.868 7.364 5.801
Si 1.522 14.383 5.801
Si 3.913 9.772 14.478
Si 3.783 2.963 17.510
Si 1.392 7.154 2.769
Si 0.998 14.173 2.769
Si 3.389 9.982 17.510
Si 1.398 15.340 18.389
Si 3.789 8.815 1.890
Si 3.383 1.796 1.890
Si 0.992 8.321 18.389
O 4.070 4.553 10.082
O 1.680 5.565 10.196
O 0.711 12.584 10.196
O 3.101 11.572 10.082
O 1.271 2.822 9.726
O 3.662 7.295 10.552
O 3.510 14.314 10.552
O 1.119 9.841 9.726
O 0.910 3.893 12.106
O 3.300 6.224 8.173
O 3.871 13.243 8.173
O 1.481 10.912 12.106
O 1.260 5.932 13.937
O 3.651 4.185 6.341
O 3.520 11.204 6.341
O 1.130 12.951 13.937
O 4.070 4.176 14.194
O 1.680 5.941 6.084
O 0.711 12.960 6.084
O 3.101 11.195 14.194
O 3.586 16.301 16.025
O 1.684 3.240 14.475
O 3.097 13.896 5.803
O 0.706 10.259 14.475
O 3.557 15.558 13.510
O 1.167 8.597 6.769
O 1.224 1.578 6.769
O 3.614 8.539 13.510
O 3.447 4.523 17.561
O 1.057 5.594 2.717
O 1.334 12.613 2.717
O 3.724 11.542 17.561
O 1.357 7.790 19.876
O 3.748 2.327 0.403
O 3.424 9.346 0.403
O 1.033 14.809 19.876
O 1.080 7.150 17.273
O 3.470 2.967 3.005
O 3.701 9.986 3.005
O 1.311 14.169 17.273
O 4.237 9.001 18.550
O 1.846 1.116 1.728
O 0.544 8.135 1.728
O 2.935 16.020 18.550
O 1.830 9.718 17.981
O 4.221 0.399 2.298
O 2.951 7.418 2.298
O 0.560 16.737 17.981
O 3.586 9.282 16.025
O 1.195 0.835 4.254
O 1.195 7.854 4.254
O 4.075 6.877 5.803

No. 6
222
Lattice="-11.906 -10.288 9.035 4.239 -3.318 -7.269 17.269 -8.044 13.750" Properties=species:S:1:pos:R:3 comment="GGA-PBE Na6Zr4In4Si5S7O48, relaxed" final_energy_ev_per_atom=-6.756 ef_ev_per_atom=-2.516 crystal_system=triclinic space_group="P1, No. 1" pbc="T T T"
Na 7.077 -4.154 -1.086
Na 1.091 -9.196 3.356
Na 2.646 -17.485 16.636
Na 8.554 -12.446 12.255
Na 9.197 -15.184 16.415
Na 5.486 -5.196 7.160
Na 12.886 -7.389 -0.286
Na 6.911 -12.523 4.230
Na 17.201 -8.093 13.676
Na 11.305 -13.263 18.203
Na 11.864 -11.212 12.137
Na 5.717 -16.232 16.413
Na 3.097 -7.263 5.062
Na -2.577 -12.372 9.707
Na 3.551 -5.396 -0.879
Na -2.373 -10.411 3.531
Na 12.355 -9.407 5.735
Na 6.465 -14.665 10.421
Zr 0.173 -7.989 9.239
Zr 6.964 -20.375 13.552
Zr 3.513 -18.788 10.793
Zr 9.315 -13.720 6.174
Zr 2.474 -1.190 1.841
Zr -3.313 -6.374 6.478
Zr 14.339 -12.304 14.058
Zr -0.176 -13.487 11.629
Zr 1.147 -4.050 -3.100
Zr -4.769 -9.196 1.554
Zr 9.956 -8.156 3.792
Zr 3.867 -13.214 8.331
In -1.556 -16.382 6.652
In 8.771 -12.036 16.144
In 9.253 -9.885 9.837
In 3.464 -15.077 14.657
In 0.730 -6.057 3.060
In -5.398 -10.914 7.551
In 8.529 -17.529 18.772
In 6.008 -8.503 7.252
In 6.269 -6.526 1.062
In 0.298 -11.520 5.662
In 15.008 -10.544 7.730
In 8.873 -15.612 12.410
Si 3.161 -7.996 1.474
Si -0.372 -8.136 5.748
Si 6.531 -13.649 14.029
Si 15.879 -8.354 5.223
Si 7.036 -18.128 10.801
Si 8.048 -6.714 9.355
Si 2.019 -11.942 13.948
Si 8.782 -10.231 6.436
Si -8.306 -9.333 8.378
Si 0.610 -3.774 0.406
Si -5.334 -8.782 4.922
Si 11.198 -13.959 14.545
Si 17.962 -12.231 7.121
Si 0.857 -11.411 9.049
Si 9.694 -5.750 1.054
S 6.842 -6.808 -2.522
S -3.354 -8.689 9.298
S -2.895 -13.145 6.000
S -6.328 -13.238 10.346
S 12.471 -8.538 9.538
S 10.034 -13.474 9.687
S 8.718 -9.663 13.473
S 5.774 -10.752 9.957
S -0.168 -15.843 14.450
S 2.800 -15.334 10.991
S -1.616 -7.679 0.908
S -7.556 -12.869 5.476
S -2.346 -4.220 3.852
S 14.914 -12.792 10.548
S 8.985 -17.975 15.158
S 17.198 -8.797 10.053
S 11.950 -17.413 11.665
S 7.569 -9.794 1.575
S 1.572 -14.863 6.088
S 6.769 -6.302 4.537
S 3.840 -10.876 5.588
O 4.079 -3.620 4.955
O -1.879 -8.733 9.465
O 3.762 -9.402 2.109
O -2.282 -14.353 6.636
O 0.214 -8.098 7.285
O -5.730 -13.207 11.706
O 13.410 -8.162 10.627
O 7.550 -13.393 15.296
O 11.421 -13.990 9.731
O 5.477 -19.322 14.228
O 9.158 -10.682 14.470
O 3.119 -15.997 19.191
O 11.501 -12.942 6.036
O 5.389 -18.134 10.617
O 11.865 -7.327 8.924
O 5.965 -12.201 13.458
O 15.292 -8.509 3.697
O 9.498 -13.493 8.305
O 2.080 -8.442 0.310
O -3.842 -13.552 4.943
O 4.222 -2.347 1.342
O -1.899 -7.552 5.826
O 6.561 -5.759 -3.536
O 0.501 -10.971 1.037
O 7.229 -10.907 10.143
O 1.278 -16.037 14.628
O 8.602 -8.011 10.151
O 2.628 -13.221 14.676
O 9.528 -10.133 7.871
O 3.421 -15.282 12.299
O -0.726 -7.442 2.076
O -6.636 -12.598 6.606
O -0.977 -4.742 3.917
O -6.806 -9.926 8.560
O 1.100 -4.868 1.474
O -4.827 -10.008 5.871
O -1.003 -3.680 0.253
O -6.932 -8.615 4.619
O -2.194 -6.434 0.372
O -8.133 -11.671 4.842
O -2.932 -4.296 2.496
O -9.100 -9.587 6.993
O 6.939 -6.916 8.152
O 1.008 -12.338 12.720
O 7.206 -9.814 6.351
O 1.415 -14.783 10.973
O 5.378 -9.725 8.968
O -0.502 -14.832 13.420
O 16.402 -12.842 10.711
O 10.456 -18.053 15.306
O 17.786 -10.071 10.606
O 11.763 -15.381 15.156
O 18.525 -12.185 8.674
O 12.497 -17.430 13.034
O 8.468 -9.415 2.684
O 2.488 -14.485 7.187
O 8.113 -6.883 4.536
O 2.356 -12.073 8.981
O 9.972 -6.968 2.112
O 4.136 -11.921 6.613
O 8.078 -5.576 0.741
O 2.370 -10.786 5.334
O 6.986 -8.592 0.917
O 0.955 -13.683 5.442
O 6.130 -6.336 3.203
O 0.089 -11.599 7.636
O 16.222 -9.107 8.978
O 10.184 -14.236 13.298
O 16.411 -11.802 7.098
O 10.584 -16.861 11.615
O 14.516 -11.738 9.595
O 8.591 -16.923 14.200
O 10.473 -6.297 -0.327
O 4.523 -11.285 4.336
O 6.511 -10.657 2.156
O 0.547 -15.780 6.681
O 6.884 -4.873 5.017
O 0.953 -9.867 9.597
O 16.515 -8.131 11.186
O 10.477 -13.264 15.874
O 18.983 -11.416 6.139
O 12.911 -16.635 10.811
O 14.472 -14.148 10.142
O 8.538 -19.322 14.719
O 5.101 -10.392 11.221
O -0.855 -15.476 15.714
O 9.210 -5.748 8.713
O 3.158 -10.925 13.309
O 8.794 -11.782 5.904
O 2.688 -16.729 10.462
O -0.893 -8.383 -0.178
O -6.823 -13.617 4.411
O -3.268 -4.975 4.754
O -9.262 -10.180 9.462
O 1.150 -2.269 0.886
O -4.813 -7.309 5.446
O 9.386 -10.114 12.190
O 3.496 -15.419 16.742
O 11.465 -9.446 10.135
O 5.473 -14.684 14.647
O 10.058 -12.061 10.233
O 4.079 -17.129 14.783
O 2.379 -7.350 2.761
O -3.636 -12.489 7.135
O 0.622 -7.266 4.794
O -5.416 -12.507 9.408
O 2.114 -4.824 4.377
O -3.784 -10.057 8.903
O 14.301 -12.456 11.861
O 8.331 -17.606 16.454
O 12.434 -13.031 13.995
O 6.363 -18.248 18.500
O 13.641 -10.481 13.880
O 7.636 -15.489 18.353
O 4.057 -7.192 7.754
O -1.938 -12.295 12.305
O 5.824 -7.001 5.465
O -0.113 -12.277 10.065
O 4.279 -9.537 6.055
O -1.626 -14.603 10.594
O 1.320 -4.069 -1.057
O -4.566 -9.178 3.516
O 3.271 -3.469 -3.025
O -2.693 -8.579 1.414
O 1.919 -6.113 -2.950
O -4.012 -11.097 1.578
O 11.516 -9.228 3.315
O 5.417 -14.359 7.788
O 9.669 -9.282 5.421
O 3.644 -14.551 10.023
O 11.185 -6.888 4.981
O 5.274 -12.097 9.501
O 6.174 -6.334 -1.272
O 0.247 -11.598 3.320
O 4.284 -6.998 0.802
O -1.868 -12.270 5.400
O 5.425 -4.339 0.794
O -0.456 -9.657 5.105
O 13.227 -9.215 8.439
O 7.301 -14.230 12.691
O 14.820 -9.137 6.223
O 9.099 -14.255 10.521
O 13.394 -11.625 6.619
O 7.529 -16.641 11.215